1.
# CaReN3

Crystalline CaReN3 at its relaxed geometry (GGA-PBE, the Materials Project).

Values from the calculation:
- Formation energy: -3.68 eV/f.u.

abc: 11.0784 9.9647 6.2852
angles: 90.00 111.20 90.00
Space group C2/c (No. 15)
Asymmetric unit:
Ca: 0.0000 0.0880 0.2500 [4 per cell]
Ca: 0.0000 0.2946 0.7500 [4 per cell]
Re: 0.2094 0.4127 0.2267 [8 per cell]
N: 0.1187 0.1077 0.6624 [8 per cell]
N: 0.1333 0.2553 0.1706 [8 per cell]
N: 0.1512 0.4937 0.9370 [8 per cell]

---

2.
# LaBi2C2O2

Crystalline LaBi2C2O2 at its relaxed geometry (GGA-PBE, the Materials Project).

Values from the calculation:
- Magnetic moment: 0.10 Bohr magnetons per cell
- Formation energy: -2.35 eV/f.u.

abc: 3.8855 3.8855 18.0887
angles: 90.00 90.00 90.00
Space group I4/mmm (No. 139)
Asymmetric unit:
La: 0.0000 0.0000 0.0000 [2 per cell]
Bi: 0.0000 0.0000 0.1783 [4 per cell]
C: 0.0000 0.0000 0.4636 [4 per cell]
O: 0.0000 0.5000 0.2500 [4 per cell]

---

3.
# Ag8SnS6

Crystalline Ag8SnS6 at its relaxed geometry (GGA-PBE, the Materials Project).

Values from the calculation:
- Formation energy: -4.83 eV/f.u.

abc: 15.4873 7.7081 10.8842
angles: 90.00 90.00 90.00
Space group Pna2_1 (No. 33)
Asymmetric unit:
Ag: 0.0205 0.0199 0.0000 [4 per cell]
Ag: 0.0608 0.2349 0.2199 [4 per cell]
Ag: 0.0649 0.5664 0.9055 [4 per cell]
Ag: 0.0904 0.6038 0.5809 [4 per cell]
Ag: 0.1289 0.2716 0.7606 [4 per cell]
Ag: 0.2275 0.0096 0.9861 [4 per cell]
Ag: 0.2266 0.8765 0.5775 [4 per cell]
Ag: 0.2397 0.6381 0.8014 [4 per cell]
Sn: 0.1250 0.7346 0.2361 [4 per cell]
S: 0.0010 0.2682 0.6053 [4 per cell]
S: 0.1117 0.8091 0.7522 [4 per cell]
S: 0.1207 0.4837 0.3695 [4 per cell]
S: 0.1249 0.2684 0.9931 [4 per cell]
S: 0.1268 0.9898 0.3669 [4 per cell]
S: 0.2490 0.2245 0.6067 [4 per cell]

---

4.
# ZnCuAs2O7

Crystalline ZnCuAs2O7 at its relaxed geometry (GGA-PBE, the Materials Project).

Values from the calculation:
- Magnetic moment: 0.00 Bohr magnetons per cell
- Formation energy: -16.80 eV/f.u.

abc: 7.2321 8.4837 9.7715
angles: 90.00 111.26 90.00
Space group P2_1/c (No. 14)
Asymmetric unit:
Zn: 0.2323 0.0700 0.0995 [4 per cell]
Cu: 0.2988 0.0598 0.6704 [4 per cell]
As: 0.0623 0.7287 0.7476 [4 per cell]
As: 0.4620 0.7229 0.0337 [4 per cell]
O: 0.0346 0.6038 0.6041 [4 per cell]
O: 0.1385 0.5857 0.2335 [4 per cell]
O: 0.1460 0.2384 0.7054 [4 per cell]
O: 0.2393 0.6388 0.9069 [4 per cell]
O: 0.3610 0.2266 0.5473 [4 per cell]
O: 0.4366 0.5956 0.5966 [4 per cell]
O: 0.4924 0.0813 0.3328 [4 per cell]

---

5.
# FeCoGe

Crystalline FeCoGe at its relaxed geometry (GGA-PBE, the Materials Project).

Values from the calculation:
- Magnetic moment: 4.07 Bohr magnetons per cell
- Formation energy: 0.11 eV/f.u.

abc: 4.0767 4.0767 4.9813
angles: 90.00 90.00 120.00
Space group P6_3/mmc (No. 194)
Asymmetric unit:
Fe: 0.3333 0.6667 0.2500 [2 per cell]
Co: 0.0000 0.0000 0.0000 [2 per cell]
Ge: 0.3333 0.6667 0.7500 [2 per cell]

---

6.
# BaSrI4

Crystalline BaSrI4 at its relaxed geometry (GGA-PBE, the Materials Project).

Values from the calculation:
- Magnetic moment: 0.00 Bohr magnetons per cell
- Formation energy: -11.91 eV/f.u.

abc: 5.8700 5.8700 28.0915
angles: 90.00 90.00 120.00
Space group R-3m (No. 166, hexagonal axes)
Asymmetric unit:
Ba: 0.0000 0.0000 0.0000 [3 per cell]
Sr: 0.0000 0.0000 0.5000 [3 per cell]
I: 0.0000 0.0000 0.1291 [6 per cell]
I: 0.0000 0.0000 0.3772 [6 per cell]

---

7.
# Ge22Rh17

Crystalline Ge22Rh17 at its relaxed geometry (GGA-PBE, the Materials Project).

Values from the calculation:
- Formation energy: -18.66 eV/f.u.

abc: 5.6839 5.6839 79.7362
angles: 90.00 90.00 90.00
Space group I-42d (No. 122)
Asymmetric unit:
Ge: 0.1466 0.2500 0.1250 [8 per cell]
Ge: 0.1482 0.7275 0.4218 [16 per cell]
Ge: 0.1526 0.2100 0.5321 [16 per cell]
Ge: 0.1551 0.7041 0.0127 [16 per cell]
Ge: 0.1612 0.1943 0.9424 [16 per cell]
Ge: 0.1715 0.6825 0.6026 [16 per cell]
Rh: 0.0000 0.0000 0.0317 [8 per cell]
Rh: 0.0000 0.0000 0.0866 [8 per cell]
Rh: 0.0000 0.0000 0.1476 [8 per cell]
Rh: 0.0000 0.0000 0.2067 [8 per cell]
Rh: 0.0000 0.0000 0.2627 [8 per cell]
Rh: 0.0000 0.0000 0.3260 [8 per cell]
Rh: 0.0000 0.0000 0.3801 [8 per cell]
Rh: 0.0000 0.0000 0.4427 [8 per cell]
Rh: 0.0000 0.0000 0.5000 [4 per cell]

---

8.
# SiO2

Crystalline SiO2 at its relaxed geometry (GGA-PBE, the Materials Project).

Values from the calculation:
- Piezoelectric modulus e_max: 0.1 C/m²
- Formation energy: -9.76 eV/f.u.

abc: 10.4959 15.2559 9.0061
angles: 90.00 105.54 90.00
Space group Cm (No. 8)
Asymmetric unit:
Si: 0.0000 0.1005 0.0000 [4 per cell]
Si: 0.0459 0.2574 0.7965 [4 per cell]
Si: 0.0986 0.1006 0.3632 [4 per cell]
Si: 0.2054 0.3972 0.0227 [4 per cell]
Si: 0.2496 0.2457 0.5854 [4 per cell]
Si: 0.3019 0.3973 0.3776 [4 per cell]
O: 0.0196 0.0000 0.9484 [2 per cell]
O: 0.0569 0.1658 0.8917 [4 per cell]
O: 0.0811 0.1150 0.1796 [4 per cell]
O: 0.0878 0.3389 0.9158 [4 per cell]
O: 0.1441 0.2516 0.6863 [4 per cell]
O: 0.1449 0.0000 0.4103 [2 per cell]
O: 0.1647 0.5000 0.9970 [2 per cell]
O: 0.2105 0.1670 0.4595 [4 per cell]
O: 0.2229 0.3702 0.2021 [4 per cell]
O: 0.2478 0.3391 0.4978 [4 per cell]
O: 0.2760 0.5000 0.4080 [2 per cell]
O: 0.3431 0.3793 0.9763 [4 per cell]
O: 0.3958 0.2251 0.6952 [4 per cell]
O: 0.4595 0.3793 0.4048 [4 per cell]

---

Question: Which value of formation energy does entry 4 give?
Answer: -16.80 eV/f.u.